A plane-wave DFT calculation with PBE-GGA was carried out for an optimized crystal structure of Ba25Bi15O54.

## Properties
Space-group type ... Cm
Energy of formation from the pure elements ... -215.7 eV/f.u.
Energy ... -552.2 eV for the cell shown

Lattice parameters (Å, degrees): 6.3365 6.3365 51.9851 94.32 94.32 61.20
With the nearest neighbours (Å) after each atom.
Atoms (fractional coordinates):
Ba 0.0000 0.0000 0.0000  5 O 2.71-2.96
Ba 0.0639 0.0639 0.1450  12 O 3.03-3.24
Ba 0.0950 0.0950 0.6392  4 O 2.68-2.69
Ba 0.1311 0.1311 0.2894  6 O 2.76-3.06
Ba 0.1422 0.1422 0.7184  5 O 2.52-2.60
Ba 0.2075 0.2075 0.7926  5 O 2.61-2.85
Ba 0.2684 0.2684 0.4403  4 O 2.77-2.91
Ba 0.2960 0.2960 0.9525  3 O 2.72-2.79
Ba 0.3737 0.3737 0.0969  10 O 2.91-3.23
Ba 0.4039 0.4039 0.5857  5 O 2.68-2.87
Ba 0.4388 0.4388 0.2432  11 O 3.02-3.24
Ba 0.5024 0.5024 0.7443  4 O 2.61-2.87
Ba 0.5424 0.5424 0.8253  5 O 2.48-2.67
Ba 0.5700 0.5700 0.3966  4 O 2.62-2.83
Ba 0.6103 0.6103 0.9028  6 O 2.73-2.80
Ba 0.6913 0.6913 0.0474  11 O 2.95-3.24
Ba 0.7025 0.7025 0.5362  4 O 2.70-2.75
Ba 0.7400 0.7400 0.6173  5 O 2.52-2.67
Ba 0.7516 0.7516 0.1938  12 O 3.04-3.29
Ba 0.8032 0.8032 0.6947  5 O 2.63-2.74
Ba 0.8351 0.8351 0.3365  5 O 2.65-2.88
Ba 0.8963 0.8963 0.8441  4 O 2.62-2.82
Ba 0.9094 0.9094 0.4111  5 O 2.56-2.60
Ba 0.9483 0.9483 0.4831  3 O 2.71-2.80
Ba 0.9547 0.9547 0.9218  5 O 2.44-2.59
Bi 0.0315 0.0315 0.0719  6 O 2.17-2.21
Bi 0.0367 0.0367 0.5656  5 O 2.13-2.30
Bi 0.0986 0.0986 0.2192  6 O 2.21-2.28
Bi 0.1724 0.1724 0.3663  5 O 2.13-2.35
Bi 0.2268 0.2268 0.8739  5 O 2.04-2.15
Bi 0.3260 0.3260 0.5161  5 O 2.17-2.37
Bi 0.3401 0.3401 0.0229  6 O 2.25-2.34
Bi 0.4110 0.4110 0.1702  6 O 2.18-2.24
Bi 0.4301 0.4301 0.6686  5 O 2.01-2.16
Bi 0.4775 0.4775 0.3206  6 O 2.22-2.30
Bi 0.6022 0.6022 0.4684  3 O 2.09-2.22
Bi 0.6547 0.6547 0.9738  6 O 2.14-2.20
Bi 0.7187 0.7187 0.1209  6 O 2.22-2.29
Bi 0.7909 0.7909 0.2689  6 O 2.21-2.35
Bi 0.8337 0.8337 0.7709  5 O 2.10-2.31
O 0.0190 0.4783 0.3950  1 Bi 2.21
O 0.0672 0.5209 0.6552  1 Bi 2.16
O 0.0706 0.5650 0.1457  2 Bi 2.23-2.29
O 0.0789 0.5376 0.8985  1 Bi 2.10
O 0.1525 0.6617 0.2941  2 Bi 2.24-2.35
O 0.1521 0.6650 0.5453  2 Bi 2.30-2.37
O 0.1574 0.6805 0.7994  1 Bi 2.28, 1 Ba 2.48
O 0.1822 0.7038 0.0461  2 Bi 2.21-2.30
O 0.1969 0.1969 0.0515  2 Bi 2.17-2.25
O 0.2015 0.2015 0.5465  2 Bi 2.13-2.17
O 0.2593 0.7333 0.4447  1 Bi 2.22
O 0.2604 0.2604 0.1955  2 Bi 2.19-2.24
O 0.2646 0.7530 0.1947  2 Bi 2.24-2.26
O 0.2709 0.7174 0.6964  1 Bi 2.11
O 0.2832 0.2832 0.3346  2 Bi 2.13-2.30
O 0.2889 0.7739 0.3512  2 Bi 2.27-2.35
O 0.3051 0.8637 0.8629  1 Bi 2.15
O 0.3222 0.3222 0.8419  1 Bi 2.04
O 0.3281 0.8577 0.5967  1 Bi 2.26, 1 Ba 2.52
O 0.3575 0.8294 0.9460  1 Bi 2.17
O 0.3597 0.8721 0.0973  2 Bi 2.20-2.29
O 0.4364 0.9528 0.2459  2 Bi 2.25-2.28
O 0.4520 0.9334 0.7540  1 Bi 2.31, 1 Ba 2.52
O 0.4646 0.9704 0.4953  2 Bi 2.21-2.43
O 0.4727 0.9672 0.0006  2 Bi 2.20-2.34
O 0.4783 0.0190 0.3950  1 Bi 2.21
O 0.4804 0.4804 0.9913  2 Bi 2.18-2.34
O 0.5209 0.0672 0.6552  1 Bi 2.16
O 0.5376 0.0789 0.8985  1 Bi 2.10
O 0.5482 0.5482 0.6409  1 Bi 2.01
O 0.5650 0.0706 0.1457  2 Bi 2.23-2.29
O 0.5663 0.5663 0.1466  2 Bi 2.18-2.22
O 0.6483 0.6483 0.3002  2 Bi 2.22-2.35
O 0.6617 0.1525 0.2941  2 Bi 2.24-2.35
O 0.6650 0.1521 0.5453  2 Bi 2.30-2.37
O 0.6805 0.1574 0.7994  1 Bi 2.28, 1 Ba 2.48
O 0.7038 0.1822 0.0461  2 Bi 2.21-2.30
O 0.7174 0.2709 0.6964  1 Bi 2.11
O 0.7333 0.2593 0.4447  1 Bi 2.22
O 0.7493 0.7493 0.4453  1 Bi 2.09
O 0.7530 0.2646 0.1947  2 Bi 2.24-2.26
O 0.7739 0.2889 0.3512  2 Bi 2.27-2.35
O 0.8294 0.3575 0.9460  1 Bi 2.17
O 0.8305 0.8305 0.9587  1 Bi 2.14
O 0.8577 0.3281 0.5967  1 Bi 2.26, 1 Ba 2.52
O 0.8637 0.3051 0.8629  1 Bi 2.15
O 0.8709 0.8709 0.0942  2 Bi 2.18-2.25
O 0.8721 0.3597 0.0973  2 Bi 2.20-2.29
O 0.9334 0.4520 0.7540  1 Bi 2.31, 1 Ba 2.52
O 0.9399 0.9399 0.2428  2 Bi 2.21
O 0.9395 0.9395 0.7390  1 Bi 2.10
O 0.9528 0.4364 0.2459  2 Bi 2.25-2.28
O 0.9672 0.4727 0.0006  2 Bi 2.20-2.34
O 0.9704 0.4646 0.4953  2 Bi 2.21-2.43



A plane-wave DFT calculation with PBE-GGA was carried out for an optimized crystal structure of Ba8Bi4O17.

## Properties
Energy above the lowest structure with this stoichiometry ... 0.0136 eV/atom
Space-group type ... I4mm
Energy of formation from the pure elements ... -67.8 eV/f.u.
Energy ... -171.1 eV for the cell shown

Lattice parameters (Å, degrees): 14.4736 14.4736 14.4736 154.38 154.38 36.55
With the nearest neighbours (Å) after each atom.
Atoms (fractional coordinates):
Ba 0.0000 0.0000 0.0000  6 O 2.51-2.65
Ba 0.1058 0.6058 0.5000  4 O 2.80
Ba 0.2635 0.7635 0.5000  4 O 2.88
Ba 0.3454 0.3454 0.0000  5 O 2.47-2.70
Ba 0.4180 0.9180 0.5000  4 O 2.73
Ba 0.6058 0.1058 0.5000  4 O 2.80
Ba 0.7635 0.2635 0.5000  4 O 2.88
Ba 0.9180 0.4180 0.5000  4 O 2.73
Bi 0.1715 0.1715 0.0000  6 O 2.08-2.21
Bi 0.4971 0.4971 0.0000  5 O 2.10-2.12
Bi 0.6742 0.6742 0.0000  5 O 2.11-2.34
Bi 0.8335 0.8335 0.0000  6 O 2.07-2.27
O 0.0607 0.0607 0.4658  1 Bi 2.12
O 0.0607 0.5948 0.0000  1 Bi 2.12
O 0.0934 0.0934 0.0000  1 Bi 2.15
O 0.2472 0.2472 0.0000  1 Bi 2.08
O 0.2514 0.2514 0.5582  1 Bi 2.12
O 0.2514 0.6931 0.0000  1 Bi 2.12
O 0.4083 0.4083 0.4862  2 Bi 2.21-2.34
O 0.4083 0.9221 0.0000  2 Bi 2.21-2.34
O 0.5736 0.5736 0.0000  1 Bi 2.10
O 0.5948 0.0607 0.0000  1 Bi 2.12
O 0.5948 0.5948 0.5342  1 Bi 2.12
O 0.6931 0.2514 0.0000  1 Bi 2.12
O 0.6931 0.6931 0.4418  1 Bi 2.12
O 0.7508 0.7508 0.0000  2 Bi 2.11-2.27
O 0.9087 0.9087 0.0000  1 Bi 2.07
O 0.9221 0.4083 0.0000  2 Bi 2.21-2.34
O 0.9221 0.9221 0.5138  2 Bi 2.21-2.34



Among the records above, which one has the highest energy of formation from the pure elements?
Ba8Bi4O17



What did the second record say?
A plane-wave DFT calculation with PBE-GGA was carried out for an optimized crystal structure of Ba8Bi4O17.

## Properties
Energy above the lowest structure with this stoichiometry ... 0.0136 eV/atom
Space-group type ... I4mm
Energy of formation from the pure elements ... -67.8 eV/f.u.
Energy ... -171.1 eV for the cell shown

Lattice parameters (Å, degrees): 14.4736 14.4736 14.4736 154.38 154.38 36.55
With the nearest neighbours (Å) after each atom.
Atoms (fractional coordinates):
Ba 0.0000 0.0000 0.0000  6 O 2.51-2.65
Ba 0.1058 0.6058 0.5000  4 O 2.80
Ba 0.2635 0.7635 0.5000  4 O 2.88
Ba 0.3454 0.3454 0.0000  5 O 2.47-2.70
Ba 0.4180 0.9180 0.5000  4 O 2.73
Ba 0.6058 0.1058 0.5000  4 O 2.80
Ba 0.7635 0.2635 0.5000  4 O 2.88
Ba 0.9180 0.4180 0.5000  4 O 2.73
Bi 0.1715 0.1715 0.0000  6 O 2.08-2.21
Bi 0.4971 0.4971 0.0000  5 O 2.10-2.12
Bi 0.6742 0.6742 0.0000  5 O 2.11-2.34
Bi 0.8335 0.8335 0.0000  6 O 2.07-2.27
O 0.0607 0.0607 0.4658  1 Bi 2.12
O 0.0607 0.5948 0.0000  1 Bi 2.12
O 0.0934 0.0934 0.0000  1 Bi 2.15
O 0.2472 0.2472 0.0000  1 Bi 2.08
O 0.2514 0.2514 0.5582  1 Bi 2.12
O 0.2514 0.6931 0.0000  1 Bi 2.12
O 0.4083 0.4083 0.4862  2 Bi 2.21-2.34
O 0.4083 0.9221 0.0000  2 Bi 2.21-2.34
O 0.5736 0.5736 0.0000  1 Bi 2.10
O 0.5948 0.0607 0.0000  1 Bi 2.12
O 0.5948 0.5948 0.5342  1 Bi 2.12
O 0.6931 0.2514 0.0000  1 Bi 2.12
O 0.6931 0.6931 0.4418  1 Bi 2.12
O 0.7508 0.7508 0.0000  2 Bi 2.11-2.27
O 0.9087 0.9087 0.0000  1 Bi 2.07
O 0.9221 0.4083 0.0000  2 Bi 2.21-2.34
O 0.9221 0.9221 0.5138  2 Bi 2.21-2.34